Record 1
This record from the Materials Project database describes a relaxed structure of YHoMg2. The functional is PBE-GGA.

extended XYZ file:
```
4
Lattice="5.2568 -0.6173 0.8972 1.8308 -4.5350 2.2141 2.8371 -3.4731 -2.9511" Properties=species:S:1:pos:R:3 pbc="T T T"
Y 0.0000 0.0000 0.0000
Ho 4.9624 -4.3127 0.0801
Mg 2.4812 -2.1563 0.0401
Mg 7.4435 -6.4690 0.1202
```

- DFT formation energy (meV/atom) = -89



Record 2
This record from the Materials Project database describes a relaxed structure of Se2SN2Cl2. The functional is PBE-GGA.

extended XYZ file:
```
56
Lattice="7.6039 0.0000 0.0000 0.0000 10.8770 0.0000 0.0000 0.0000 17.2236" Properties=species:S:1:pos:R:3 pbc="T T T"
Se 5.4449 1.5759 1.2686
Se 6.5566 4.8957 6.8556
Se 4.8492 4.8957 15.4675
Se 2.1590 9.3011 15.9550
Se 5.4449 7.0144 7.3432
Se 5.9609 7.0144 15.9550
Se 2.7547 0.5428 6.8556
Se 1.0473 5.9813 10.3680
Se 1.6429 3.8626 1.2686
Se 6.5566 10.3342 1.7562
Se 5.9609 1.5759 9.8805
Se 2.1590 3.8626 9.8805
Se 2.7547 5.9813 1.7562
Se 4.8492 10.3342 10.3680
Se 1.6429 9.3011 7.3432
Se 1.0473 0.5428 15.4675
S 6.0090 6.5848 4.5106
S 1.5948 9.7307 13.1224
S 2.2071 4.2922 4.1012
S 5.3968 1.1463 12.7130
S 5.3968 6.5848 13.1224
S 6.0090 1.1463 4.1012
S 2.2071 9.7307 4.5106
S 1.5948 4.2922 12.7130
N 2.8723 0.1707 5.0823
N 6.6742 10.7063 3.5295
N 1.5668 3.3930 3.0027
N 2.2352 8.8315 14.2209
N 5.3687 2.0455 3.0027
N 5.3687 7.4840 5.6091
N 6.0371 7.4840 14.2209
N 2.2352 3.3930 11.6145
N 1.5668 8.8315 5.6091
N 4.7316 5.2678 13.6942
N 0.9296 0.1707 13.6942
N 6.0371 2.0455 11.6145
N 0.9296 5.6092 12.1413
N 6.6742 5.2678 5.0823
N 4.7316 10.7063 12.1413
N 2.8723 5.6092 3.5295
Cl 2.4348 5.8499 16.0780
Cl 6.8105 8.9345 10.5502
Cl 5.1690 10.4656 7.4662
Cl 3.0085 1.9425 15.2853
Cl 1.3671 5.8499 7.4662
Cl 1.3671 0.4114 1.1456
Cl 4.5953 8.9345 1.9383
Cl 2.4348 0.4114 9.7574
Cl 6.2368 5.0271 9.7574
Cl 3.0085 7.3810 10.5502
Cl 0.7934 7.3810 1.9383
Cl 4.5953 3.4960 6.6735
Cl 6.2368 10.4656 16.0780
Cl 0.7934 1.9425 6.6735
Cl 5.1690 5.0271 1.1456
Cl 6.8105 3.4960 15.2853
```

- DFT formation energy (meV/atom) = 23
- polymorph energy (0 for the lowest one) (eV/atom) = 0.000
- E (MP2020) (eV/cell) = -250.68



Record 3
This record from the Materials Project database describes a relaxed structure of KBiF6. The functional is PBE-GGA.

extended XYZ file:
```
32
Lattice="8.4473 3.1172 -1.8494 -1.0505 -0.7911 9.0975 -1.1645 -8.2203 -3.9451" Properties=species:S:1:pos:R:3 pbc="T T T"
K 3.1162 -2.9471 1.6515
K -0.5252 -0.3955 4.5488
K -0.5822 -4.1102 -1.9726
K 4.2236 1.5586 -0.9247
Bi 0.0000 0.0000 0.0000
Bi 3.6984 1.1631 3.6240
Bi -1.1075 -4.5057 2.5762
Bi 3.6414 -2.5516 -2.8973
F 0.0507 -0.7695 1.8985
F 0.7775 -6.3045 -1.0610
F 0.6489 -4.1319 1.5889
F 6.9159 -2.8269 -0.6698
F 1.3201 -1.7415 6.0582
F 3.8017 -2.1859 -0.8874
F 1.6581 -7.1542 1.5290
F 0.3904 -1.8781 -0.7208
F 2.0201 0.3199 0.1266
F 6.4222 -0.0116 -0.4820
F 2.9949 -0.7237 3.2443
F 4.1614 -2.0633 5.8903
F 6.1817 -5.1247 1.4044
F 5.4548 0.4103 4.3639
F 5.5835 -1.7624 1.7140
F -0.6836 -3.0673 3.9728
F 4.9123 -4.1528 -2.7553
F 2.4307 -3.7084 4.1903
F 4.5743 1.2600 1.7740
F 5.8420 -4.0162 4.0237
F 4.2123 -6.2142 3.1764
F -0.1899 -5.8827 3.7850
F 3.2375 -5.1705 0.0587
F 2.0709 -3.8309 -2.5873
```

- DFT formation energy (meV/atom) = -2525
- E (MP2020) (eV/cell) = -146.75



Record 4
This record from the Materials Project database describes a relaxed structure of CdBi3O7. The functional is PBE-GGA.

extended XYZ file:
```
11
Lattice="-1.7433 -3.0914 -1.3113 -1.3964 -2.3910 2.5784 -12.2550 4.8209 0.2246" Properties=species:S:1:pos:R:3 pbc="T T T"
Cd -3.8172 -0.3018 0.3947
Bi -7.7969 -0.6331 0.8092
Bi -11.5014 -0.8185 1.1729
Bi -3.3363 -5.2082 1.2353
O -2.8678 -2.9601 0.7887
O -9.5816 -2.0805 1.2290
O -5.4167 -4.1306 1.2268
O -9.7537 3.0123 0.3273
O -5.8413 0.7006 0.3947
O -9.7461 0.5604 0.7681
O -13.3072 0.3159 1.1297
```

- DFT formation energy (meV/atom) = -1242
- E (MP2020) (eV/cell) = -60.90



Record 5
This record from the Materials Project database describes a relaxed structure of RbNiN. The functional is PBE-GGA.

extended XYZ file:
```
12
Lattice="-9.8847 -4.4900 1.7974 1.3336 -1.9004 2.5868 -1.3522 4.6125 4.0858" Properties=species:S:1:pos:R:3 pbc="T T T"
Rb -6.2705 -3.1131 2.1133
Rb -1.8171 0.7997 2.6919
Rb -3.6328 1.3352 6.3567
Rb -8.0862 -2.5776 5.7781
Ni -5.9116 -0.2709 4.0164
Ni -1.4241 3.5257 4.4920
Ni -3.9917 -1.5071 4.4536
Ni -8.4792 -5.3037 3.9779
N -9.0671 -3.9184 2.9635
N -4.3731 -0.8264 2.8150
N -0.8362 2.1405 5.5065
N -5.5302 -0.9515 5.6549
```

- DFT formation energy (meV/atom) = -30
- polymorph energy (0 for the lowest one) (eV/atom) = 0.000
- E (MP2020) (eV/cell) = -60.75



Record 6
This record from the Materials Project database describes a relaxed structure of HoIn. The functional is PBE-GGA.

extended XYZ file:
```
2
Lattice="-1.7234 -2.4580 -2.2375 1.2431 -2.8141 2.1340 -3.0827 0.2394 2.1114" Properties=species:S:1:pos:R:3 pbc="T T T"
Ho 0.0000 0.0000 0.0000
In -1.7815 -2.5164 1.0039
```

- DFT formation energy (meV/atom) = -435



Record 7
This record from the Materials Project database describes a relaxed structure of NaAlPO4F. The functional is PBE-GGA.

extended XYZ file:
```
16
Lattice="4.1564 3.2545 0.0000 -4.1564 3.2545 0.0000 0.0000 3.0329 6.3023" Properties=species:S:1:pos:R:3 pbc="T T T"
Na -1.3968 4.0127 1.5756
Na 1.3968 5.5292 4.7267
Al 0.0000 0.0000 0.0000
Al 0.0000 1.5165 3.1512
P 1.5214 4.0127 1.5756
P -1.5214 5.5292 4.7267
O -2.4147 4.5380 3.9143
O -2.4147 6.5203 5.5392
O -0.5821 6.3243 3.7841
O -0.5821 4.7341 5.6693
O 0.5821 3.2176 2.5182
O 0.5821 4.8078 0.6330
O 2.4147 5.0039 2.3880
O 2.4147 3.0215 0.7631
F 3.5784 5.5292 4.7267
F -3.5784 4.0127 1.5756
```

- DFT formation energy (meV/atom) = -3086
- E (MP2020) (eV/cell) = -113.75



Record 8
This record from the Materials Project database describes a relaxed structure of Ba3PtF12. The functional is PBE-GGA.

extended XYZ file:
```
16
Lattice="6.7759 3.9359 0.0000 -6.7759 3.9359 0.0000 0.0000 0.3518 7.0961" Properties=species:S:1:pos:R:3 pbc="T T T"
Ba 0.0000 0.1759 3.5480
Ba 3.3879 1.9679 0.0000
Ba -3.3879 1.9679 0.0000
Pt 0.0000 0.0000 0.0000
F -2.4535 4.3138 5.6965
F 2.4535 3.9098 1.3996
F 3.0989 5.5960 4.1505
F -2.4535 3.9098 1.3996
F -3.0989 2.6277 2.9456
F 2.4535 4.3138 5.6965
F 5.4006 3.4701 1.3623
F 3.0989 2.6277 2.9456
F -5.4006 4.7535 5.7338
F -3.0989 5.5960 4.1505
F 5.4006 4.7535 5.7338
F -5.4006 3.4701 1.3623
```

- DFT formation energy (meV/atom) = -2505
- E (MP2020) (eV/cell) = -74.89



Record 9
This record from the Materials Project database describes a relaxed structure of LiAl4Tl4O12. The functional is PBE-GGA.

extended XYZ file:
```
21
Lattice="-1.7483 3.6499 -3.3900 -5.1074 -1.8263 0.7283 -1.5819 4.9971 6.0978" Properties=species:S:1:pos:R:3 pbc="T T T"
Li -3.2722 5.2766 -0.7036
Al -5.7218 7.6067 2.9202
Al -5.4192 5.1940 0.1734
Al -7.5316 4.9694 5.0015
Al -1.7597 4.3399 1.3940
Tl -6.2560 1.9882 5.2702
Tl -4.4051 4.5890 3.1232
Tl -3.5533 2.1377 0.0663
Tl -4.9452 -0.6555 1.7979
O -3.1542 0.7752 1.8294
O -2.4813 3.1679 2.9016
O -3.4512 5.2833 5.0437
O -5.8659 4.1972 5.6842
O -5.1860 2.5310 2.9790
O -1.2420 2.7493 0.2426
O -2.3281 5.8919 2.6053
O -2.4891 2.7196 -2.2821
O -3.6984 4.3129 0.8222
O -4.9164 1.5307 -1.6764
O -6.5259 3.7288 0.6753
O -5.4903 6.0822 1.8819
```

- DFT formation energy (meV/atom) = -2084
- polymorph energy (0 for the lowest one) (eV/atom) = 0.016
- E (MP2020) (eV/cell) = -129.48



Record 10
This record from the Materials Project database describes a relaxed structure of Sr2LiB10H3O19. The functional is PBE-GGA.

extended XYZ file:
```
70
Lattice="6.4107 0.0018 1.9754 4.5348 -9.6450 -3.3789 -0.0076 -0.0279 -11.4688" Properties=species:S:1:pos:R:3 pbc="T T T"
Sr 8.9065 -9.5524 -6.2966
Sr 2.0665 -0.1485 -6.5806
Sr 6.7592 -4.4216 -10.4705
Sr 4.1233 -5.1682 -2.3258
Li 3.2495 -0.1361 -10.4227
Li 5.4831 -8.4474 -3.4716
B 3.5627 -4.8657 -10.6104
B 7.3758 -4.8161 -2.2488
B 3.6121 -2.5727 -11.5632
B 7.3188 -7.1010 -1.2918
B 2.9408 -2.9387 -9.2218
B 7.9698 -6.7574 -3.6539
B 5.3551 -6.7760 -5.7728
B 5.6158 -2.8517 -7.1110
B 1.5637 -1.4265 -1.1031
B 9.3775 -8.2922 -11.8208
B 5.7612 -9.2579 -6.2301
B 5.2041 -0.4193 -6.6535
B 8.3535 -6.6753 -8.7382
B 2.5765 -2.9957 -4.1363
B 6.0397 -7.5190 -8.0231
B 4.8863 -2.1551 -4.8679
B 4.1011 -7.0159 -9.6113
B 6.8269 -2.6676 -3.2649
B 5.8415 -1.2790 -0.4586
B 5.1033 -8.3715 -12.3586
H 2.1937 -3.1705 -7.4280
H 8.7620 -6.5203 -5.4273
H 5.0907 -4.8673 -5.2500
H 5.8397 -4.7694 -7.6083
H 0.7647 -1.0773 -10.7073
H 9.7522 -8.4679 -2.3367
O 7.0530 -6.9941 -8.9681
O 3.8765 -2.6729 -3.9089
O 5.0000 -5.7853 -4.8600
O 5.9618 -3.8634 -8.0083
O 8.8952 -5.5955 -9.4090
O 2.0449 -4.0844 -3.4748
O 5.6882 -6.4429 -7.0639
O 5.2201 -3.2211 -5.8311
O 9.1514 -7.3636 -7.8116
O 1.7720 -2.3069 -5.0544
O 1.3986 -0.6341 -11.3176
O 9.5616 -9.0682 -1.5885
O 4.5813 -5.8734 -10.1720
O 6.3566 -3.8205 -2.7107
O 4.5282 -1.5740 -0.7466
O 6.4189 -8.0795 -12.0774
O 2.4374 -2.4263 -8.0125
O 8.4991 -7.2650 -4.8499
O 4.8174 -7.8819 -8.8388
O 6.1107 -1.8016 -4.0360
O 6.6134 -1.9485 0.4547
O 4.3984 -7.7688 -13.3938
O 2.9461 -4.2897 -9.4114
O 7.9983 -5.4197 -3.4390
O 3.3859 -2.0644 -10.1573
O 7.4492 -7.6522 -2.7455
O 6.3504 -0.2526 -1.2410
O 4.5661 -9.3474 -11.5620
O 2.3671 -2.6199 -0.8404
O 8.6085 -7.0767 -12.1004
O 4.2353 -3.9249 -11.4847
O 6.7101 -5.7551 -1.3690
O 6.4957 -8.7477 -7.3964
O 4.4378 -0.9209 -5.4905
O 5.3723 -8.0697 -5.3300
O 5.6793 -1.5563 -7.5075
O 2.0963 -0.5304 -2.1369
O 8.8711 -9.1386 -10.7605
```

- DFT formation energy (meV/atom) = -2770
- E (MP2020) (eV/cell) = -546.45



Record 11
This record from the Materials Project database describes a relaxed structure of Ga5CuTe8. The functional is PBE-GGA.

extended XYZ file:
```
14
Lattice="-3.8345 2.9588 -3.5022 -2.0316 -5.1895 -2.1599 -8.3253 -0.3955 8.7811" Properties=species:S:1:pos:R:3 pbc="T T T"
Ga -3.1333 -2.6953 1.1535
Ga -8.1251 1.1845 4.7966
Ga -7.2236 -2.8897 5.4677
Ga -4.0347 1.3788 0.4823
Ga 0.0000 0.0000 0.0000
Cu -7.0957 -1.3131 1.5595
Te -2.5388 -0.6504 -0.5384
Te -5.2205 -1.6702 -3.1268
Te -9.8996 -3.3284 5.2584
Te -10.7238 0.3966 4.6448
Te -6.5016 -0.7716 4.0488
Te -9.5867 -1.9448 1.0709
Te -5.6731 -3.4108 0.9121
Te -6.6214 0.8747 0.2061
```

- DFT formation energy (meV/atom) = -548
- E (MP2020) (eV/cell) = -52.05



Record 12
This record from the Materials Project database describes a relaxed structure of Sc11Ge10. The functional is PBE-GGA.

extended XYZ file:
```
42
Lattice="8.1091 -5.6370 3.8830 -1.2646 3.9241 9.7782 -7.9981 -4.6199 -5.2247" Properties=species:S:1:pos:R:3 pbc="T T T"
Sc 4.4794 -5.4880 2.4435
Sc -0.1160 -5.8332 4.7026
Sc -2.5327 1.6643 6.8534
Sc -2.4776 -3.4244 6.1878
Sc -5.6331 -0.8449 5.9930
Sc -1.0377 -0.4997 3.7340
Sc 1.3790 -7.9971 1.5831
Sc 1.3239 -2.9085 2.2487
Sc -1.6151 -1.9329 0.5668
Sc 0.4614 -4.3999 7.8697
Sc 0.3896 2.2367 8.7378
Sc 6.4548 -3.9497 4.9234
Sc 4.5305 -1.1339 9.0427
Sc 2.3139 -0.5791 4.6185
Sc 1.0937 -1.2597 9.7206
Sc -0.8442 -5.4243 1.5167
Sc 4.1601 -4.3874 7.7920
Sc -3.9106 -2.2966 3.4452
Sc -2.2474 -5.0732 -1.2840
Sc -0.3095 -0.9085 6.9199
Sc -5.3138 -1.9454 0.6445
Sc 2.7569 -4.0363 4.9913
Ge 0.0398 -3.6799 -0.4814
Ge 0.0712 -6.5770 -0.8603
Ge -5.9395 -0.4462 2.9198
Ge -3.3232 -0.2497 1.6337
Ge 6.0725 -1.5198 12.1203
Ge 0.7720 -0.1932 1.5409
Ge -3.4270 -4.1015 1.2027
Ge 2.2734 -2.2314 7.2338
Ge 2.2455 0.3437 7.5706
Ge 4.5989 -2.0567 6.0906
Ge 1.7666 -5.5567 2.7445
Ge -2.9202 -0.7762 5.6921
Ge 2.7403 -3.4361 9.9301
Ge -1.4566 -3.5068 3.3714
Ge 6.5876 -3.1471 8.0388
Ge 2.6942 0.8241 10.4874
Ge -3.8940 -2.8968 -1.4936
Ge 0.3029 -2.8261 5.0652
Ge 0.2568 1.4341 5.6224
Ge 4.1502 -2.5371 3.1738
```

- DFT formation energy (meV/atom) = -822



Record 13
This record from the Materials Project database describes a relaxed structure of Na6Np2H10S4O25. The functional is PBE-GGA.

extended XYZ file:
```
47
Lattice="-0.1507 -3.2542 -6.3147 7.6481 -1.9426 0.8645 -2.7192 -9.2728 4.8616" Properties=species:S:1:pos:R:3 pbc="T T T"
Na 6.2872 -6.5734 3.2783
Na 5.4615 -9.9779 3.0544
Na 5.0180 -3.2417 -2.0048
Na -1.4312 -6.2729 -0.7406
Na -0.6237 -4.5064 -3.6709
Na -0.4588 -12.7093 -1.1289
Np 1.9044 -4.3990 0.2207
Np 2.8526 -10.0782 -0.8509
H 4.4271 -7.6461 -3.9741
H 5.7885 -4.1968 1.3808
H 5.7653 -5.3442 -0.5593
H 4.4845 -6.1627 -0.9412
H 0.2718 -8.3457 0.4295
H -0.9677 -9.2199 0.0941
H 0.9381 -12.2151 0.6213
H 4.1856 -4.4056 -4.1407
H -1.0476 -10.1437 -1.9354
H 0.3562 -6.7192 3.4601
S 3.2236 -7.6087 1.8619
S 0.3686 -1.9218 -1.0355
S 1.5506 -6.9182 -2.4671
S 4.3403 -12.5732 0.4411
O -0.6190 -6.7424 3.4436
O 0.7985 -2.0804 0.4124
O 2.5543 -7.5216 3.1943
O 3.1397 -6.3029 1.1628
O 4.6525 -7.9862 2.0348
O 0.2774 -5.1758 0.6664
O 3.4881 -3.5643 -0.2441
O -1.6574 -10.0214 3.2667
O 6.5357 -3.6943 -0.2412
O 2.5024 -8.6559 1.0774
O 0.7561 -3.1970 -1.7173
O -0.7015 -8.3084 0.3544
O 5.4602 -6.1763 -0.9924
O 3.9610 -11.3016 1.1699
O 2.2708 -5.9157 -1.6354
O 3.4345 -3.8404 -3.8704
O 0.1282 -6.5180 -2.6425
O 1.6012 -8.2478 -1.7993
O -1.8324 -10.8359 -0.3860
O 1.2307 -10.9105 -0.4394
O 4.4820 -9.2969 -1.2651
O 6.3543 -4.4346 -3.7825
O 2.2315 -6.9956 -3.7932
O 3.8995 -12.3764 -0.9798
O 5.3952 -7.7452 -4.0214
```

- DFT formation energy (meV/atom) = -2051
- E (MP2020) (eV/cell) = -304.42